Rb: optimized geometry, GGA-PBE.

Structure (extended XYZ):
```
4
Lattice="5.0113 0.0000 0.0000 0.0000 8.9034 0.0000 0.0000 0.0000 8.1845" Properties=species:S:1:pos:R:3 pbc="T T T"
Rb 0.0000 1.4260 2.0461
Rb 0.0000 7.4775 6.1384
Rb 2.5057 3.0257 6.1384
Rb 2.5057 5.8777 2.0461
```

Summary:
* SG: Cmcm (63)
* DFT formation energy: 0.01 eV per formula unit

Rb: optimized geometry, GGA-PBE.

Structure (extended XYZ):
```
8
Lattice="8.1123 0.0000 0.0000 -0.6335 8.3070 0.0000 -3.6958 -4.0808 10.6829" Properties=species:S:1:pos:R:3 pbc="T T T"
Rb 0.0000 0.0000 0.0000
Rb -0.3434 4.0242 2.6557
Rb 0.0462 -0.4477 5.3838
Rb -0.2487 3.4378 8.1310
Rb 3.7605 3.3808 0.0520
Rb 4.1122 -0.5640 2.6530
Rb 3.7429 3.9609 5.4433
Rb 4.0560 -0.0073 7.9875
```

Summary:
* SG: P1 (1)
* total magnetic moment: 0.00 μB/atom
* DFT formation energy: 0.02 eV per formula unit